## Sr2ScCoPO3 (GGA+U)

Data for crystalline Sr2ScCoPO3 at its relaxed geometry.

Structure (CIF):
```
data_Sr2ScCoPO3
_cell_length_a 4.047
_cell_length_b 4.047
_cell_length_c 15.357
_cell_angle_alpha 90.00
_cell_angle_beta 90.00
_cell_angle_gamma 90.00
_symmetry_space_group_name_H-M 'P 4/n m m'
_symmetry_Int_Tables_number 129
loop_
_symmetry_equiv_pos_as_xyz
'x,y,z'
'-x,-y,-z'
'-y+1/2,x,z'
'y+1/2,-x,-z'
'-x+1/2,-y+1/2,z'
'x+1/2,y+1/2,-z'
'y,-x+1/2,z'
'-y,x+1/2,-z'
'x+1/2,-y,-z'
'-x+1/2,y,z'
'-y,-x,-z'
'y,x,z'
'-x,y+1/2,-z'
'x,-y+1/2,z'
'y+1/2,x+1/2,-z'
'-y+1/2,-x+1/2,z'
loop_
_atom_site_label
_atom_site_type_symbol
_atom_site_fract_x
_atom_site_fract_y
_atom_site_fract_z
Sr1 Sr 0.250 0.250 0.088
Sr2 Sr 0.250 0.250 0.324
Sc1 Sc 0.250 0.250 0.802
Co1 Co 0.250 0.750 0.500
P1 P 0.250 0.250 0.562
O1 O 0.250 0.250 0.932
O2 O 0.250 0.750 0.221
```

Properties
E_form (eV per atom): -2.516
Uncorrected energy (eV/cell): -107.01